1.
An optimized crystal structure of V2Si2O7, computed with PBE+U.

```
22
Lattice="-6.353 0.001 0.027 2.240 -4.213 4.591 2.238 4.210 4.589" Properties=species:S:1:pos:R:3 pbc="T T T"
Si -2.015 0.019 2.742
Si -5.276 -0.019 1.889
Si 3.400 -0.023 7.319
O 0.397 1.401 5.595
V -0.938 -2.629 4.606
O -4.512 -0.013 3.356
O 0.382 -1.327 5.541
O -2.258 -1.327 3.665
O 0.920 -2.886 3.654
Si 0.139 0.019 6.465
O 0.903 0.012 7.932
O -2.793 -2.886 5.557
O -2.781 2.808 5.610
O -0.469 -0.001 2.302
O -1.407 -0.001 6.906
O -2.272 1.402 3.610
V -4.112 -1.583 4.616
V -0.939 2.665 4.602
V -4.114 1.545 4.617
O -2.778 0.013 1.274
O 2.637 -0.016 5.851
O 0.904 2.808 3.598
```

Summary:
energy relative to the lowest polymorph listed for this composition	5	meV per atom
calculated formation energy	-2.890	eV per atom
uncorrected energy	-7.9302	eV/atom
crystal system	monoclinic



2.
An optimized crystal structure of VSi2O6, computed with PBE+U.

```
72
Lattice="-0.879 4.776 2.193 -8.625 -0.831 -1.645 -2.310 -7.795 16.051" Properties=species:S:1:pos:R:3 pbc="T T T"
O -7.870 -0.027 2.556
O -2.854 -2.062 7.320
V -4.025 -2.634 5.688
Si -3.800 0.124 4.026
O -5.500 -2.761 6.792
O -1.197 -0.031 5.988
Si -9.038 -6.503 11.198
V -4.049 -2.737 15.719
O -5.249 0.429 3.362
O -3.043 1.548 4.238
Si -1.672 0.604 0.561
V -5.407 -5.298 14.279
Si -7.209 1.827 5.422
O -5.975 -5.802 10.316
O -8.959 -1.789 9.279
O -5.492 -4.225 15.974
Si -4.791 -0.535 9.644
O -4.317 -1.699 12.562
V -7.764 -1.114 0.880
Si -10.142 -4.455 16.037
V -2.667 -0.073 7.127
O -2.928 -0.871 3.080
O -7.377 -4.067 8.401
O -8.034 -2.055 6.819
Si -7.023 -3.316 6.955
Si -2.920 -2.785 8.820
O -1.922 -6.262 12.942
V -6.406 1.447 2.319
O -8.698 -5.705 9.764
O -9.891 2.411 3.657
O -6.322 0.374 0.625
O -7.611 0.268 5.195
Si -8.014 -3.975 12.573
Si -8.233 -0.702 4.047
O -7.121 2.475 3.879
O -1.701 0.035 8.697
O -3.779 -1.796 9.780
O -6.564 -4.279 13.237
O -3.661 -4.214 8.622
O -7.949 -3.203 11.087
O -6.689 -6.471 14.904
Si -3.542 2.854 1.385
Si -8.893 -1.066 7.779
O -4.202 -4.119 11.404
V -9.146 -3.778 9.472
Si -4.604 -5.678 11.177
O -8.923 -0.176 -0.210
O -4.692 -6.326 12.720
O -7.904 2.652 1.503
O -2.821 1.399 1.385
V -7.788 -1.217 10.911
Si -2.775 2.653 5.401
Si -8.271 -6.705 15.214
O -7.496 -2.151 4.037
O -8.886 -2.980 13.519
O -8.874 -7.669 14.057
O -3.865 -0.648 5.512
Si -3.580 -3.149 12.552
O -8.771 -5.399 12.361
O -2.940 3.818 2.542
O -2.891 -3.675 16.808
O -4.437 0.216 8.198
O -3.944 -3.823 14.043
O -6.314 -1.090 9.806
O -10.617 -3.820 10.611
O -8.992 -5.250 15.214
O -5.124 2.621 1.695
O -3.116 1.854 6.835
O -3.909 -6.503 15.096
O -5.838 1.952 6.283
O -10.112 -3.886 7.902
O -8.153 0.364 7.977
```

Summary:
energy relative to the lowest polymorph listed for this composition	7	meV per atom
calculated formation energy	-2.930	eV per atom
uncorrected energy	-7.7967	eV/atom
crystal system	orthorhombic



3.
An optimized crystal structure of V2SiO7, computed with PBE+U.

```
40
Lattice="-5.387 -4.022 -4.908 4.967 1.333 -6.545 3.948 -7.165 1.538" Properties=species:S:1:pos:R:3 pbc="T T T"
O 3.200 -7.327 -0.071
Si -0.720 -5.593 -1.685
V -1.647 -7.828 -4.151
V 2.200 -6.143 -6.182
V 5.176 -2.026 -5.764
O -1.418 -2.643 -5.899
O -1.123 -7.614 -5.775
V -2.364 -3.908 -6.577
O 0.816 -6.429 -1.342
O 4.509 -3.216 -6.811
Si 0.000 0.000 0.000
O 2.712 -3.425 -8.573
Si 4.458 -2.916 -2.504
O 4.865 -0.432 -6.330
O 1.764 -4.927 -4.958
O 2.764 -3.332 -2.866
Si -0.210 -1.345 -5.726
O 1.974 -3.582 0.769
O 2.793 -7.822 -2.845
O -1.439 -5.337 -6.820
O -3.778 -4.215 -5.647
O -1.337 -9.422 -3.585
O 0.714 -2.344 -4.577
O 2.484 0.666 -3.273
O 0.764 -6.522 -7.049
O 4.967 -4.517 -3.095
O 0.328 -2.527 -9.844
O 0.736 -2.033 -7.070
O 4.652 -2.240 -4.140
O 3.391 -5.432 -7.198
V 1.329 -3.711 -3.734
O 7.307 -5.639 -4.268
O 4.946 -7.211 -4.016
O -2.694 -2.011 -2.454
V 5.893 -5.946 -3.339
O 0.138 -4.422 -2.717
O 2.815 -7.510 -5.338
V 1.483 -2.224 -8.607
V 2.046 -7.630 -1.308
O -0.981 -6.638 -3.104
```

Summary:
calculated formation energy	-2.531	eV per atom
uncorrected energy	-7.5329	eV/atom
crystal system	cubic



4.
An optimized crystal structure of VSi2O6, computed with PBE+U.

```
36
Lattice="-4.363 -1.699 -2.624 -1.454 -2.938 8.731 -4.188 7.418 1.941" Properties=species:S:1:pos:R:3 pbc="T T T"
Si -7.181 3.653 3.733
O -2.224 -0.106 2.954
V -3.815 2.602 7.790
O -3.352 2.203 3.899
O -1.608 -0.802 0.136
O -4.244 -1.424 7.144
V -3.171 -0.486 1.144
O -4.403 -0.848 4.294
V -6.149 0.191 0.270
Si -4.280 3.256 4.693
O -5.855 1.891 -0.263
O -4.110 0.902 8.323
O -6.499 4.980 6.387
O -7.791 2.901 2.437
Si -6.330 3.467 -0.381
Si -5.684 -0.463 3.367
O -5.706 3.152 8.545
V -6.793 3.278 6.916
O -6.612 0.590 4.160
O -3.466 -2.188 1.672
O -6.377 -2.382 5.851
O -7.740 2.898 5.106
Si -3.633 -0.674 8.442
O -5.718 4.216 0.916
Si -2.783 -0.861 4.327
O -3.586 5.178 2.210
O -8.357 3.595 7.923
O -4.899 2.727 6.161
Si -5.096 -2.768 6.777
O -4.258 -0.360 -0.486
O -5.561 3.641 3.767
O -5.065 0.065 1.899
O -2.736 1.508 1.084
Si -4.868 5.562 1.283
O -7.226 1.284 6.977
O -2.172 -0.109 5.623
```

Summary:
energy relative to the lowest polymorph listed for this composition	0	meV per atom
calculated formation energy	-2.937	eV per atom
uncorrected energy	-7.8040	eV/atom
crystal system	triclinic



5.
An optimized crystal structure of VSi4O10, computed with PBE+U.

```
60
Lattice="7.399 0.000 0.000 0.000 7.399 0.000 0.000 0.000 15.675" Properties=species:S:1:pos:R:3 pbc="T T T"
O 5.752 4.492 6.403
O 4.492 5.752 1.435
O 5.348 6.607 9.273
V 0.000 3.700 14.493
Si 2.420 5.587 13.324
Si 4.979 1.813 13.324
Si 1.280 5.513 2.351
Si 1.887 6.120 5.487
Si 5.513 1.280 5.487
V 0.000 3.700 6.655
O 5.228 2.172 11.756
O 2.907 5.752 9.273
O 2.172 2.172 3.919
O 0.792 2.052 14.240
O 2.172 5.228 11.756
O 2.907 1.648 1.435
Si 2.420 1.813 5.487
Si 5.587 2.420 10.188
O 2.052 6.607 1.435
Si 4.979 5.587 5.487
O 0.315 1.860 2.013
O 3.385 1.839 13.662
Si 5.587 4.979 2.351
Si 6.120 1.887 2.351
Si 1.813 2.420 2.351
O 5.871 1.528 3.919
Si 5.513 6.120 13.324
O 1.839 4.014 2.013
O 1.860 7.085 13.662
O 5.560 3.385 2.013
O 4.492 1.648 9.273
O 1.839 3.385 9.851
O 7.085 5.539 2.013
O 6.607 2.052 6.403
O 3.385 5.560 5.825
O 1.528 1.528 11.756
O 4.014 5.560 13.662
O 5.348 0.792 1.435
O 5.539 7.085 5.825
O 1.528 5.871 3.919
O 5.560 4.014 9.851
O 5.539 0.315 13.662
V 3.700 0.000 9.020
Si 1.887 1.280 13.324
O 4.014 1.839 5.825
O 1.860 0.315 5.825
O 6.607 5.348 14.240
O 5.871 5.871 11.756
Si 1.813 4.979 10.188
O 2.052 0.792 9.273
O 5.228 5.228 3.919
Si 6.120 5.513 10.188
O 0.792 5.348 6.403
O 5.752 2.907 14.240
V 3.700 0.000 1.182
O 1.648 2.907 6.403
Si 1.280 1.887 10.188
O 1.648 4.492 14.240
O 0.315 5.539 9.851
O 7.085 1.860 9.851
```

Summary:
calculated formation energy	-2.952	eV per atom
uncorrected energy	-7.7320	eV/atom
crystal system	tetragonal



Q: Which value of uncorrected energy does entry 1 give?
A: -7.9302 eV/atom